Entry from Materials Project: a geometry-optimized Hf6CoBi2 structure (PBE).

The formation energy is -250 meV per atom. The calculation puts the theoretical density at 13.23 Mg/m³. For the total DFT energy (no corrections), the calculation gives -76.88 eV/cell. As for the volume: 21.58 Å³/atom.

a = 7.874 Å, b = 7.874 Å, c = 3.617 Å
α = 90.00°, β = 90.00°, γ = 120.00°
Sites, in units of the cell vectors:
Hf 0.000 0.234 0.000
Hf 0.000 0.613 0.500
Hf 0.234 0.000 0.000
Hf 0.387 0.387 0.500
Hf 0.613 0.000 0.500
Hf 0.766 0.766 0.000
Co 0.000 0.000 0.500
Bi 0.333 0.667 0.000
Bi 0.667 0.333 0.000

Entry from Materials Project: a geometry-optimized Ho5Co2Bi structure (PBE).

The formation energy is -353 meV per atom. The calculation puts the theoretical density at 9.55 Mg/m³. For the total DFT energy (no corrections), the calculation gives -87.69 eV/cell. As for the volume: 25.03 Å³/atom.

a = 8.863 Å, b = 8.863 Å, c = 8.863 Å
α = 129.84°, β = 129.84°, γ = 73.67°
Sites, in units of the cell vectors:
Ho 0.000 0.000 0.000
Ho 0.034 0.534 0.822
Ho 0.212 0.034 0.500
Ho 0.288 0.788 0.822
Ho 0.466 0.288 0.500
Ho 0.500 0.500 0.000
Ho 0.534 0.712 0.500
Ho 0.712 0.212 0.178
Ho 0.788 0.966 0.500
Ho 0.966 0.466 0.178
Co 0.134 0.366 0.500
Co 0.366 0.866 0.232
Co 0.634 0.134 0.768
Co 0.866 0.634 0.500
Bi 0.250 0.250 0.000
Bi 0.750 0.750 0.000

Copy entry 2 word for word.
Entry from Materials Project: a geometry-optimized Ho5Co2Bi structure (PBE).

The formation energy is -353 meV per atom. The calculation puts the theoretical density at 9.55 Mg/m³. For the total DFT energy (no corrections), the calculation gives -87.69 eV/cell. As for the volume: 25.03 Å³/atom.

a = 8.863 Å, b = 8.863 Å, c = 8.863 Å
α = 129.84°, β = 129.84°, γ = 73.67°
Sites, in units of the cell vectors:
Ho 0.000 0.000 0.000
Ho 0.034 0.534 0.822
Ho 0.212 0.034 0.500
Ho 0.288 0.788 0.822
Ho 0.466 0.288 0.500
Ho 0.500 0.500 0.000
Ho 0.534 0.712 0.500
Ho 0.712 0.212 0.178
Ho 0.788 0.966 0.500
Ho 0.966 0.466 0.178
Co 0.134 0.366 0.500
Co 0.366 0.866 0.232
Co 0.634 0.134 0.768
Co 0.866 0.634 0.500
Bi 0.250 0.250 0.000
Bi 0.750 0.750 0.000